# LaTiNbBi2O9 | the Materials Project | PBE-GGA | optimized geometry
# ΔH_f (0 K): -2.84 eV/atom
# crystal system: orthorhombic
# ρ: 7.371 g cm⁻³
# uncorrected energy: -435.29 eV per cell
data_LaTiNbBi2O9
_space_group_name_H-M_alt 'P b a m'
_space_group_IT_number 55
_cell_length_a 5.465
_cell_length_b 25.382
_cell_length_c 5.467
_cell_angle_alpha 90.00
_cell_angle_beta 90.00
_cell_angle_gamma 90.00
loop_
_space_group_symop_operation_xyz
'x,y,z'
'-x,-y,-z'
'-x,-y,z'
'x,y,-z'
'x+1/2,-y+1/2,-z'
'-x+1/2,y+1/2,z'
'-x+1/2,y+1/2,-z'
'x+1/2,-y+1/2,z'
loop_
_atom_site_label
_atom_site_type_symbol
_atom_site_fract_x
_atom_site_fract_y
_atom_site_fract_z
La1 La 0.000 0.000 0.000
La2 La 0.000 0.500 0.500
Ti1 Ti 0.004 0.088 0.500
Nb1 Nb 0.001 0.411 0.000
Bi1 Bi 0.002 0.300 0.500
Bi2 Bi 0.013 0.200 0.000
O1 O 0.000 0.000 0.500
O2 O 0.000 0.500 0.000
O3 O 0.004 0.663 0.000
O4 O 0.018 0.159 0.500
O5 O 0.243 0.750 0.250
O6 O 0.246 0.073 0.249
O7 O 0.249 0.425 0.253



# ZnC8N2Cl4 | the Materials Project | PBE-GGA | optimized geometry
# ΔH_f (0 K): 0.85 eV/atom
# crystal system: orthorhombic
# ρ: 1.193 g cm⁻³
# uncorrected energy: -335.56 eV per cell
# energy above the lowest structure with this stoichiometry: 0 meV per atom
data_ZnC8N2Cl4
_space_group_name_H-M_alt 'P n m a'
_space_group_IT_number 62
_cell_length_a 11.935
_cell_length_b 9.692
_cell_length_c 15.948
_cell_angle_alpha 90.00
_cell_angle_beta 90.00
_cell_angle_gamma 90.00
loop_
_space_group_symop_operation_xyz
'x,y,z'
'-x,-y,-z'
'-x+1/2,-y,z+1/2'
'x+1/2,y,-z+1/2'
'x+1/2,-y+1/2,-z+1/2'
'-x+1/2,y+1/2,z+1/2'
'-x,y+1/2,-z'
'x,-y+1/2,z'
loop_
_atom_site_label
_atom_site_type_symbol
_atom_site_fract_x
_atom_site_fract_y
_atom_site_fract_z
Zn1 Zn 0.245 0.250 0.088
C1 C 0.004 0.250 0.713
C2 C 0.024 0.250 0.626
C3 C 0.062 0.143 0.573
C4 C 0.136 0.750 0.863
C5 C 0.139 0.680 0.787
C6 C 0.139 0.750 0.021
N1 N 0.020 0.750 0.217
N2 N 0.132 0.750 0.946
Cl1 Cl 0.038 0.250 0.470
Cl2 Cl 0.198 0.250 0.959
Cl3 Cl 0.234 0.573 0.678



# K3Cu | the Materials Project | PBE-GGA | optimized geometry
# ΔH_f (0 K): 0.34 eV/atom
# crystal system: cubic
# ρ: 1.529 g cm⁻³
# uncorrected energy: -6.07 eV per cell
data_K3Cu
_space_group_name_H-M_alt 'P m -3 m'
_space_group_IT_number 221
_space_group_name_Hall '-P 4 2 3'
_cell_length_a 5.813
_cell_length_b 5.813
_cell_length_c 5.813
_cell_angle_alpha 90.00
_cell_angle_beta 90.00
_cell_angle_gamma 90.00
loop_
_atom_site_label
_atom_site_type_symbol
_atom_site_fract_x
_atom_site_fract_y
_atom_site_fract_z
K1 K 0.000 0.000 0.500
Cu1 Cu 0.500 0.500 0.500



# Tb3AlNi8 | the Materials Project | PBE-GGA | optimized geometry
# ΔH_f (0 K): -0.44 eV/atom
# crystal system: hexagonal
# ρ: 9.030 g cm⁻³
# uncorrected energy: -138.39 eV per cell
data_Tb3AlNi8
_space_group_name_H-M_alt 'P 63/m m c'
_space_group_IT_number 194
_space_group_name_Hall '-P 6c 2c'
_cell_length_a 5.0771
_cell_length_b 5.0771
_cell_length_c 16.0353
_cell_angle_alpha 90.00
_cell_angle_beta 90.00
_cell_angle_gamma 120.00
loop_
_atom_site_label
_atom_site_type_symbol
_atom_site_fract_x
_atom_site_fract_y
_atom_site_fract_z
Tb1 Tb 0.3333 0.6667 0.0448
Tb2 Tb 0.3333 0.6667 0.2500
Al1 Al 0.0000 0.0000 0.0000
Ni1 Ni 0.0000 0.0000 0.2500
Ni2 Ni 0.1689 0.3377 0.6259
Ni3 Ni 0.3333 0.6667 0.7500



# ZrAu3 | the Materials Project | PBE-GGA | optimized geometry
# ΔH_f (0 K): -0.50 eV/atom
# crystal system: orthorhombic
# ρ: 15.017 g cm⁻³
# uncorrected energy: -40.76 eV per cell
data_ZrAu3
_space_group_name_H-M_alt 'P m m n'
_space_group_IT_number 59
_cell_length_a 4.892
_cell_length_b 6.198
_cell_length_c 4.975
_cell_angle_alpha 90.00
_cell_angle_beta 90.00
_cell_angle_gamma 90.00
loop_
_space_group_symop_operation_xyz
'x,y,z'
'-x,-y,-z'
'-x+1/2,-y+1/2,z'
'x+1/2,y+1/2,-z'
'x+1/2,-y,-z'
'-x+1/2,y,z'
'-x,y+1/2,-z'
'x,-y+1/2,z'
loop_
_atom_site_label
_atom_site_type_symbol
_atom_site_fract_x
_atom_site_fract_y
_atom_site_fract_z
Zr1 Zr 0.250 0.250 0.161
Au1 Au 0.250 0.503 0.664
Au2 Au 0.250 0.750 0.159



# BaCaNdBiO6 | the Materials Project | PBE-GGA | optimized geometry
# ΔH_f (0 K): -2.74 eV/atom
# crystal system: orthorhombic
# ρ: 6.383 g cm⁻³
# uncorrected energy: -262.10 eV per cell
# energy above the lowest structure with this stoichiometry: 5 meV per atom
data_BaCaNdBiO6
_space_group_name_H-M_alt 'P 2 2 2'
_space_group_IT_number 16
_cell_length_a 8.656
_cell_length_b 8.669
_cell_length_c 8.690
_cell_angle_alpha 90.00
_cell_angle_beta 90.00
_cell_angle_gamma 90.00
loop_
_space_group_symop_operation_xyz
'x,y,z'
'-x,-y,z'
'x,-y,-z'
'-x,y,-z'
loop_
_atom_site_label
_atom_site_type_symbol
_atom_site_fract_x
_atom_site_fract_y
_atom_site_fract_z
Ba1 Ba 0.000 0.000 0.000
Ba2 Ba 0.000 0.000 0.500
Ba3 Ba 0.000 0.500 0.000
Ba4 Ba 0.500 0.500 0.500
Ca1 Ca 0.000 0.500 0.500
Ca2 Ca 0.500 0.000 0.000
Ca3 Ca 0.500 0.000 0.500
Ca4 Ca 0.500 0.500 0.000
Nd1 Nd 0.255 0.252 0.749
Bi1 Bi 0.256 0.250 0.251
O1 O 0.013 0.277 0.210
O2 O 0.205 0.311 0.487
O3 O 0.217 0.009 0.285
O4 O 0.303 0.199 0.012
O5 O 0.308 0.487 0.198
O6 O 0.490 0.205 0.316



# ThO2 | the Materials Project | PBE-GGA | optimized geometry
# ΔH_f (0 K): -4.22 eV/atom
# crystal system: orthorhombic
# ρ: 10.489 g cm⁻³
# uncorrected energy: -114.36 eV per cell
data_ThO2
_space_group_name_H-M_alt 'P n m a'
_space_group_IT_number 62
_cell_length_a 6.183
_cell_length_b 3.784
_cell_length_c 7.146
_cell_angle_alpha 90.00
_cell_angle_beta 90.00
_cell_angle_gamma 90.00
loop_
_space_group_symop_operation_xyz
'x,y,z'
'-x,-y,-z'
'-x+1/2,-y,z+1/2'
'x+1/2,y,-z+1/2'
'x+1/2,-y+1/2,-z+1/2'
'-x+1/2,y+1/2,z+1/2'
'-x,y+1/2,-z'
'x,-y+1/2,z'
loop_
_atom_site_label
_atom_site_type_symbol
_atom_site_fract_x
_atom_site_fract_y
_atom_site_fract_z
Th1 Th 0.248 0.250 0.099
O1 O 0.018 0.250 0.843
O2 O 0.138 0.250 0.425



# ScSi7Ir3 | the Materials Project | PBE-GGA | optimized geometry
# ΔH_f (0 K): -0.69 eV/atom
# crystal system: trigonal
# ρ: 8.204 g cm⁻³
# uncorrected energy: -470.47 eV per cell
data_ScSi7Ir3
_space_group_name_H-M_alt 'R -3 c'
_space_group_IT_number 167
_space_group_name_Hall '-R 3 2"c'
_cell_length_a 7.5629
_cell_length_b 7.5629
_cell_length_c 20.0606
_cell_angle_alpha 90.00
_cell_angle_beta 90.00
_cell_angle_gamma 120.00
loop_
_atom_site_label
_atom_site_type_symbol
_atom_site_fract_x
_atom_site_fract_y
_atom_site_fract_z
Sc1 Sc 0.0000 0.0000 0.0000
Si1 Si 0.0000 0.0000 0.2500
Si2 Si 0.0122 0.2025 0.1374
Ir1 Ir 0.0000 0.3230 0.2500



# Mg5Si9 | the Materials Project | PBE-GGA | optimized geometry
# ΔH_f (0 K): 0.18 eV/atom
# crystal system: triclinic
# ρ: 2.469 g cm⁻³
# uncorrected energy: -109.80 eV per cell
# energy above the lowest structure with this stoichiometry: 32 meV per atom
data_Mg5Si9
_space_group_name_H-M_alt 'P 1'
_space_group_IT_number 1
_cell_length_a 5.716
_cell_length_b 6.716
_cell_length_c 13.755
_cell_angle_alpha 82.95
_cell_angle_beta 82.66
_cell_angle_gamma 74.97
loop_
_space_group_symop_operation_xyz
'x,y,z'
loop_
_atom_site_label
_atom_site_type_symbol
_atom_site_fract_x
_atom_site_fract_y
_atom_site_fract_z
Mg1 Mg 0.000 0.000 0.000
Mg2 Mg 0.008 0.901 0.588
Mg3 Mg 0.246 0.267 0.104
Mg4 Mg 0.333 0.451 0.280
Mg5 Mg 0.348 0.514 0.496
Mg6 Mg 0.448 0.128 0.658
Mg7 Mg 0.489 0.594 0.719
Mg8 Mg 0.794 0.665 0.133
Mg9 Mg 0.867 0.790 0.821
Mg10 Mg 0.887 0.402 0.521
Si1 Si 0.063 0.491 0.680
Si2 Si 0.095 0.896 0.219
Si3 Si 0.151 0.257 0.832
Si4 Si 0.221 0.594 0.945
Si5 Si 0.327 0.667 0.098
Si6 Si 0.329 0.116 0.437
Si7 Si 0.372 0.897 0.846
Si8 Si 0.434 0.987 0.275
Si9 Si 0.538 0.959 0.992
Si10 Si 0.540 0.822 0.542
Si11 Si 0.570 0.307 0.898
Si12 Si 0.650 0.656 0.347
Si13 Si 0.734 0.160 0.171
Si14 Si 0.759 0.124 0.427
Si15 Si 0.831 0.215 0.736
Si16 Si 0.880 0.420 0.972
Si17 Si 0.892 0.338 0.283
Si18 Si 0.979 0.770 0.391



# Na5ScC4O14 | the Materials Project | PBE-GGA | optimized geometry
# ΔH_f (0 K): -1.94 eV/atom
# crystal system: tetragonal
# ρ: 2.228 g cm⁻³
# uncorrected energy: -311.97 eV per cell
data_Na5ScC4O14
_space_group_name_H-M_alt 'P -4 21 c'
_space_group_IT_number 114
_cell_length_a 7.464
_cell_length_b 7.464
_cell_length_c 11.559
_cell_angle_alpha 90.00
_cell_angle_beta 90.00
_cell_angle_gamma 90.00
loop_
_space_group_symop_operation_xyz
'x,y,z'
'y,-x,-z'
'-x,-y,z'
'-y,x,-z'
'x+1/2,-y+1/2,-z+1/2'
'y+1/2,x+1/2,z+1/2'
'-x+1/2,y+1/2,-z+1/2'
'-y+1/2,-x+1/2,z+1/2'
loop_
_atom_site_label
_atom_site_type_symbol
_atom_site_fract_x
_atom_site_fract_y
_atom_site_fract_z
Na1 Na 0.000 0.000 0.000
Na2 Na 0.193 0.304 0.708
Sc1 Sc 0.000 0.000 0.500
C1 C 0.173 0.713 0.579
O1 O 0.000 0.500 0.340
O2 O 0.085 0.764 0.121
O3 O 0.087 0.828 0.645
O4 O 0.158 0.746 0.468



# Ca2AlClO8 | the Materials Project | PBE-GGA | optimized geometry
# ΔH_f (0 K): -1.20 eV/atom
# crystal system: triclinic
# ρ: 2.273 g cm⁻³
# uncorrected energy: -58.04 eV per cell
data_Ca2AlClO8
_space_group_name_H-M_alt 'P -1'
_space_group_IT_number 2
_cell_length_a 6.102
_cell_length_b 6.109
_cell_length_c 7.025
_cell_angle_alpha 89.31
_cell_angle_beta 64.37
_cell_angle_gamma 60.14
loop_
_space_group_symop_operation_xyz
'x,y,z'
'-x,-y,-z'
loop_
_atom_site_label
_atom_site_type_symbol
_atom_site_fract_x
_atom_site_fract_y
_atom_site_fract_z
Ca1 Ca 0.109 0.195 0.087
Al1 Al 0.500 0.500 0.000
Cl1 Cl 0.500 0.000 0.500
O1 O 0.124 0.795 0.121
O2 O 0.173 0.661 0.511
O3 O 0.318 0.424 0.881
O4 O 0.461 0.239 0.119



# CeIn3Cu4Se8 | the Materials Project | PBE-GGA | optimized geometry
# ΔH_f (0 K): -0.78 eV/atom
# crystal system: tetragonal
# ρ: 5.429 g cm⁻³
# uncorrected energy: -67.22 eV per cell
data_CeIn3Cu4Se8
_space_group_name_H-M_alt 'P -4'
_space_group_IT_number 81
_cell_length_a 5.910
_cell_length_b 5.910
_cell_length_c 12.004
_cell_angle_alpha 90.00
_cell_angle_beta 90.00
_cell_angle_gamma 90.00
loop_
_space_group_symop_operation_xyz
'x,y,z'
'y,-x,-z'
'-x,-y,z'
'-y,x,-z'
loop_
_atom_site_label
_atom_site_type_symbol
_atom_site_fract_x
_atom_site_fract_y
_atom_site_fract_z
Ce1 Ce 0.000 0.000 0.000
In1 In 0.000 0.500 0.256
In2 In 0.500 0.500 0.500
Cu1 Cu 0.000 0.000 0.500
Cu2 Cu 0.000 0.500 0.747
Cu3 Cu 0.500 0.500 0.000
Se1 Se 0.217 0.249 0.622
Se2 Se 0.265 0.708 0.865